Below is a relaxed Na15Nb4Zn8P15S3O72 crystal, with properties calculated at the GGA-PBE level.

Summary:
Symmetry: P1 (1)
Total energy (eV/atom): -6.522

Cell and atoms, written as CIF:
```
data_Na15Nb4Zn8P15S3O72
_symmetry_space_group_name_H-M 'P 1'
_symmetry_Int_Tables_number 1
_symmetry_space_group_name_Hall 'P 1'
_cell_length_a 8.963
_cell_length_b 8.972
_cell_length_c 22.224
_cell_angle_alpha 89.80
_cell_angle_beta 89.78
_cell_angle_gamma 60.09
loop_
_atom_site_label
_atom_site_type_symbol
_atom_site_fract_x
_atom_site_fract_y
_atom_site_fract_z
Na1 Na 0.000 0.000 0.000
Na2 Na 0.003 0.373 0.500
Na3 Na 0.260 0.362 0.998
Na4 Na 0.265 0.734 0.500
Na5 Na 0.300 0.038 0.907
Na6 Na 0.303 0.035 0.406
Na7 Na 0.306 0.389 0.661
Na8 Na 0.621 0.378 0.242
Na9 Na 0.628 0.995 0.496
Na10 Na 0.636 0.739 0.000
Na11 Na 0.643 0.375 0.741
Na12 Na 0.652 0.045 0.163
Na13 Na 0.935 0.386 0.162
Na14 Na 0.960 0.701 0.579
Na15 Na 0.970 0.701 0.079
Nb1 Nb 0.623 0.375 0.390
Nb2 Nb 0.640 0.359 0.890
Nb3 Nb 0.968 0.697 0.731
Nb4 Nb 0.968 0.701 0.231
Zn1 Zn 0.290 0.030 0.766
Zn2 Zn 0.295 0.033 0.572
Zn3 Zn 0.299 0.038 0.074
Zn4 Zn 0.300 0.032 0.265
Zn5 Zn 0.631 0.386 0.601
Zn6 Zn 0.633 0.368 0.100
Zn7 Zn 0.958 0.700 0.925
Zn8 Zn 0.965 0.694 0.425
P1 P 0.004 0.324 0.665
P2 P 0.008 0.033 0.164
P3 P 0.253 0.710 0.335
P4 P 0.259 0.403 0.835
P5 P 0.301 0.329 0.165
P6 P 0.301 0.741 0.665
P7 P 0.340 0.367 0.501
P8 P 0.590 0.739 0.165
P9 P 0.633 0.073 0.000
P10 P 0.634 0.661 0.498
P11 P 0.666 0.707 0.834
P12 P 0.669 0.993 0.335
P13 P 0.925 0.369 0.999
P14 P 0.971 0.401 0.334
P15 P 0.973 0.987 0.835
S1 S 0.342 0.657 0.998
S2 S 0.596 0.032 0.665
S3 S 0.920 0.079 0.499
O1 O 0.093 0.065 0.218
O2 O 0.093 0.066 0.500
O3 O 0.097 0.219 0.720
O4 O 0.100 0.201 0.998
O5 O 0.108 0.997 0.104
O6 O 0.114 0.264 0.606
O7 O 0.121 0.019 0.827
O8 O 0.122 0.223 0.325
O9 O 0.130 0.721 0.675
O10 O 0.131 0.513 0.176
O11 O 0.157 0.725 0.393
O12 O 0.158 0.486 0.892
O13 O 0.160 0.678 0.280
O14 O 0.161 0.529 0.494
O15 O 0.167 0.526 0.778
O16 O 0.168 0.678 0.993
O17 O 0.251 0.269 0.106
O18 O 0.265 0.840 0.605
O19 O 0.284 0.858 0.326
O20 O 0.288 0.225 0.824
O21 O 0.326 0.827 0.719
O22 O 0.328 0.200 0.500
O23 O 0.330 0.829 0.000
O24 O 0.331 0.212 0.218
O25 O 0.421 0.552 0.052
O26 O 0.424 0.390 0.557
O27 O 0.436 0.534 0.337
O28 O 0.440 0.397 0.839
O29 O 0.446 0.551 0.662
O30 O 0.452 0.569 0.943
O31 O 0.458 0.353 0.158
O32 O 0.462 0.347 0.444
O33 O 0.466 0.836 0.500
O34 O 0.467 0.062 0.999
O35 O 0.482 0.827 0.220
O36 O 0.486 0.058 0.717
O37 O 0.489 0.859 0.824
O38 O 0.491 0.021 0.326
O39 O 0.529 0.847 0.106
O40 O 0.529 0.999 0.608
O41 O 0.613 0.197 0.944
O42 O 0.613 0.560 0.442
O43 O 0.618 0.184 0.659
O44 O 0.630 0.552 0.160
O45 O 0.659 0.156 0.056
O46 O 0.659 0.533 0.838
O47 O 0.661 0.176 0.339
O48 O 0.671 0.544 0.552
O49 O 0.742 0.726 0.893
O50 O 0.752 0.894 0.392
O51 O 0.774 0.873 0.673
O52 O 0.780 0.722 0.174
O53 O 0.791 0.902 0.279
O54 O 0.793 0.685 0.491
O55 O 0.794 0.675 0.780
O56 O 0.796 0.894 0.993
O57 O 0.797 0.394 0.338
O58 O 0.798 0.171 0.838
O59 O 0.814 0.158 0.552
O60 O 0.815 0.399 0.056
O61 O 0.820 0.351 0.944
O62 O 0.821 0.187 0.161
O63 O 0.823 0.351 0.660
O64 O 0.833 0.188 0.444
O65 O 0.939 0.525 0.278
O66 O 0.942 0.895 0.780
O67 O 0.942 0.904 0.493
O68 O 0.947 0.529 0.992
O69 O 0.984 0.868 0.174
O70 O 0.987 0.514 0.675
O71 O 0.989 0.891 0.893
O72 O 0.990 0.480 0.392
```

=====

Below is a relaxed Sc36In5Co13 crystal, with properties calculated at the GGA-PBE level.

Summary:
Symmetry: C2/m (12)
Total energy (eV/atom): -6.512

Cell and atoms, written as CIF:
```
data_Sc36In5Co13
_symmetry_space_group_name_H-M 'P 1'
_symmetry_Int_Tables_number 1
_symmetry_space_group_name_Hall 'P 1'
_cell_length_a 7.801
_cell_length_b 7.801
_cell_length_c 19.950
_cell_angle_alpha 102.84
_cell_angle_beta 102.84
_cell_angle_gamma 68.63
loop_
_atom_site_label
_atom_site_type_symbol
_atom_site_fract_x
_atom_site_fract_y
_atom_site_fract_z
Sc1 Sc 0.016 0.443 0.768
Sc2 Sc 0.080 0.080 0.636
Sc3 Sc 0.090 0.488 0.397
Sc4 Sc 0.103 0.103 0.160
Sc5 Sc 0.111 0.682 0.103
Sc6 Sc 0.159 0.759 0.728
Sc7 Sc 0.173 0.577 0.938
Sc8 Sc 0.211 0.666 0.559
Sc9 Sc 0.212 0.212 0.508
Sc10 Sc 0.241 0.841 0.272
Sc11 Sc 0.247 0.247 0.016
Sc12 Sc 0.318 0.889 0.897
Sc13 Sc 0.334 0.789 0.441
Sc14 Sc 0.422 0.422 0.320
Sc15 Sc 0.423 0.827 0.062
Sc16 Sc 0.437 0.437 0.827
Sc17 Sc 0.443 0.016 0.768
Sc18 Sc 0.488 0.090 0.397
Sc19 Sc 0.512 0.910 0.603
Sc20 Sc 0.557 0.984 0.232
Sc21 Sc 0.563 0.563 0.173
Sc22 Sc 0.577 0.173 0.938
Sc23 Sc 0.578 0.578 0.680
Sc24 Sc 0.666 0.211 0.559
Sc25 Sc 0.682 0.111 0.103
Sc26 Sc 0.753 0.753 0.984
Sc27 Sc 0.759 0.159 0.728
Sc28 Sc 0.788 0.788 0.492
Sc29 Sc 0.789 0.334 0.441
Sc30 Sc 0.827 0.423 0.062
Sc31 Sc 0.841 0.241 0.272
Sc32 Sc 0.889 0.318 0.897
Sc33 Sc 0.897 0.897 0.840
Sc34 Sc 0.910 0.512 0.603
Sc35 Sc 0.920 0.920 0.364
Sc36 Sc 0.984 0.557 0.232
In1 In 0.000 0.000 0.000
In2 In 0.333 0.333 0.167
In3 In 0.333 0.333 0.667
In4 In 0.667 0.667 0.333
In5 In 0.667 0.667 0.833
Co1 Co 0.000 0.000 0.500
Co2 Co 0.085 0.085 0.795
Co3 Co 0.122 0.122 0.378
Co4 Co 0.211 0.211 0.290
Co5 Co 0.247 0.247 0.872
Co6 Co 0.423 0.423 0.460
Co7 Co 0.455 0.455 0.044
Co8 Co 0.545 0.545 0.956
Co9 Co 0.577 0.577 0.540
Co10 Co 0.753 0.753 0.128
Co11 Co 0.789 0.789 0.710
Co12 Co 0.878 0.878 0.622
Co13 Co 0.915 0.915 0.205
```

=====

Below is a relaxed PaTc3 crystal, with properties calculated at the GGA-PBE level.

Summary:
Symmetry: I4/mmm (139)
Total energy (eV/atom): -10.104

Cell and atoms, written as CIF:
```
data_PaTc3
_symmetry_space_group_name_H-M 'P 1'
_symmetry_Int_Tables_number 1
_symmetry_space_group_name_Hall 'P 1'
_cell_length_a 4.854
_cell_length_b 4.854
_cell_length_c 4.854
_cell_angle_alpha 128.98
_cell_angle_beta 128.98
_cell_angle_gamma 75.05
loop_
_atom_site_label
_atom_site_type_symbol
_atom_site_fract_x
_atom_site_fract_y
_atom_site_fract_z
Pa1 Pa 0.000 0.000 0.000
Tc1 Tc 0.250 0.750 0.500
Tc2 Tc 0.500 0.500 0.000
Tc3 Tc 0.750 0.250 0.500
```

=====

Below is a relaxed Rb2LiInCl6 crystal, with properties calculated at the GGA-PBE level.

Summary:
Symmetry: Fm-3m (225)
Total energy (eV/atom): -3.384

Cell and atoms, written as CIF:
```
data_Rb2LiInCl6
_symmetry_space_group_name_H-M 'P 1'
_symmetry_Int_Tables_number 1
_symmetry_space_group_name_Hall 'P 1'
_cell_length_a 7.295
_cell_length_b 7.295
_cell_length_c 7.295
_cell_angle_alpha 60.00
_cell_angle_beta 60.00
_cell_angle_gamma 60.00
loop_
_atom_site_label
_atom_site_type_symbol
_atom_site_fract_x
_atom_site_fract_y
_atom_site_fract_z
Rb1 Rb 0.250 0.250 0.250
Rb2 Rb 0.750 0.750 0.750
Li1 Li 0.000 0.000 0.000
In1 In 0.500 0.500 0.500
Cl1 Cl 0.253 0.253 0.747
Cl2 Cl 0.253 0.747 0.253
Cl3 Cl 0.253 0.747 0.747
Cl4 Cl 0.747 0.253 0.253
Cl5 Cl 0.747 0.253 0.747
Cl6 Cl 0.747 0.747 0.253
```

=====

- Which value of total energy does entry 4 give?
  -3.384 eV/atom

=====

- Number 1 is which compound?
  Na15Nb4Zn8P15S3O72

=====

- Look up the total energy of the second one.
  -6.512 eV/atom